(1)
# TbNiGe3 (PBE-GGA, optimized geometry)
# ΔH_f (0 K) in meV/atom: -580
data_TbNiGe3
_cell_length_a 4.0911
_cell_length_b 21.4934
_cell_length_c 4.0871
_cell_angle_alpha 90.00
_cell_angle_beta 90.00
_cell_angle_gamma 90.00
_symmetry_space_group_name_H-M 'C m m m'
_symmetry_Int_Tables_number 65
_symmetry_space_group_name_Hall '-C 2 2'
loop_
_atom_site_label
_atom_site_type_symbol
_atom_site_fract_x
_atom_site_fract_y
_atom_site_fract_z
Tb1 Tb 0.0000 0.1690 0.0000
Ni1 Ni 0.0000 0.3899 0.5000
Ge1 Ge 0.0000 0.0574 0.5000
Ge2 Ge 0.0000 0.2836 0.5000
Ge3 Ge 0.0000 0.4427 0.0000

(2)
# SnH4N2F2 (PBE-GGA, optimized geometry)
# ΔH_f (0 K) in meV/atom: -1076
data_SnH4N2F2
_cell_length_a 10.8539
_cell_length_b 3.3033
_cell_length_c 5.1004
_cell_angle_alpha 90.00
_cell_angle_beta 105.87
_cell_angle_gamma 90.00
_symmetry_space_group_name_H-M 'C 1 2/m 1'
_symmetry_Int_Tables_number 12
_symmetry_space_group_name_Hall '-C 2y'
loop_
_atom_site_label
_atom_site_type_symbol
_atom_site_fract_x
_atom_site_fract_y
_atom_site_fract_z
Sn1 Sn 0.0000 0.0000 0.0000
H1 H 0.1092 0.5000 0.4335
H2 H 0.2020 0.5000 0.2226
N1 N 0.1082 0.5000 0.2321
F1 F 0.1203 0.0000 0.7526

(3)
# Sr11Ru10O33 (PBE-GGA, optimized geometry)
# ΔH_f (0 K) in meV/atom: -2175
data_Sr11Ru10O33
_cell_length_a 8.8948
_cell_length_b 8.9467
_cell_length_c 9.7356
_cell_angle_alpha 100.83
_cell_angle_beta 90.11
_cell_angle_gamma 113.48
_symmetry_space_group_name_H-M 'P -1'
_symmetry_Int_Tables_number 2
_symmetry_space_group_name_Hall '-P 1'
loop_
_atom_site_label
_atom_site_type_symbol
_atom_site_fract_x
_atom_site_fract_y
_atom_site_fract_z
Sr1 Sr 0.0000 0.0000 0.0000
Sr2 Sr 0.1150 0.7433 0.4570
Sr3 Sr 0.1811 0.4563 0.9090
Sr4 Sr 0.2864 0.1719 0.3727
Sr5 Sr 0.3726 0.9153 0.8003
Sr6 Sr 0.4565 0.6582 0.2881
Ru1 Ru 0.0481 0.3643 0.2287
Ru2 Ru 0.1368 0.0898 0.6828
Ru3 Ru 0.2295 0.8190 0.1335
Ru4 Ru 0.3158 0.5449 0.5908
Ru5 Ru 0.4094 0.2755 0.0480
O1 O 0.0000 0.0000 0.5000
O2 O 0.0411 0.8612 0.7276
O3 O 0.0508 0.8621 0.2208
O4 O 0.0864 0.7226 0.9489
O5 O 0.1335 0.5858 0.6826
O6 O 0.1376 0.5923 0.1795
O7 O 0.1825 0.4531 0.4121
O8 O 0.2236 0.3112 0.6406
O9 O 0.2265 0.3181 0.1353
O10 O 0.2681 0.1795 0.8669
O11 O 0.3084 0.0459 0.5957
O12 O 0.3169 0.0444 0.0871
O13 O 0.3575 0.9044 0.3067
O14 O 0.4049 0.7618 0.5495
O15 O 0.4102 0.7691 0.0413
O16 O 0.4515 0.6319 0.7725
O17 O 0.5000 0.5000 0.0000
O18 O 0.5000 0.5000 0.5000

(4)
# In2Mo15Se19 (PBE-GGA, optimized geometry)
# ΔH_f (0 K) in meV/atom: -741
data_In2Mo15Se19
_cell_length_a 9.7921
_cell_length_b 9.7921
_cell_length_c 58.7652
_cell_angle_alpha 90.00
_cell_angle_beta 90.00
_cell_angle_gamma 120.00
_symmetry_space_group_name_H-M 'R -3 c'
_symmetry_Int_Tables_number 167
_symmetry_space_group_name_Hall '-R 3 2"c'
loop_
_atom_site_label
_atom_site_type_symbol
_atom_site_fract_x
_atom_site_fract_y
_atom_site_fract_z
In1 In 0.0000 0.0000 0.1137
Mo1 Mo 0.0000 0.1591 0.2500
Mo2 Mo 0.0131 0.1633 0.7110
Mo3 Mo 0.0220 0.1681 0.9804
Se1 Se 0.0000 0.0000 0.0544
Se2 Se 0.0000 0.0000 0.1763
Se3 Se 0.0000 0.3083 0.7500
Se4 Se 0.0069 0.3804 0.6830
Se5 Se 0.0095 0.3731 0.9522

(5)
# NdH5Se2O8 (PBE-GGA, optimized geometry)
# ΔH_f (0 K) in meV/atom: -1719
# Relative energy among the computed polymorphs in meV per atom: 0
data_NdH5Se2O8
_cell_length_a 6.8587
_cell_length_b 7.1877
_cell_length_c 16.4304
_cell_angle_alpha 90.00
_cell_angle_beta 90.00
_cell_angle_gamma 90.00
_symmetry_space_group_name_H-M 'P 21 21 21'
_symmetry_Int_Tables_number 19
_symmetry_space_group_name_Hall 'P 2ac 2ab'
loop_
_atom_site_label
_atom_site_type_symbol
_atom_site_fract_x
_atom_site_fract_y
_atom_site_fract_z
Nd1 Nd 0.1276 0.1191 0.2147
H1 H 0.0180 0.4297 0.0990
H2 H 0.0585 0.2565 0.8954
H3 H 0.0990 0.2712 0.0369
H4 H 0.1769 0.0833 0.9249
H5 H 0.2025 0.1759 0.5472
Se1 Se 0.1320 0.3186 0.4243
Se2 Se 0.1588 0.3790 0.7287
O1 O 0.0237 0.8770 0.6998
O2 O 0.0751 0.2157 0.5214
O3 O 0.0916 0.1833 0.9442
O4 O 0.0955 0.9063 0.0947
O5 O 0.1010 0.3172 0.0948
O6 O 0.1399 0.1178 0.3665
O7 O 0.1876 0.4433 0.2628
O8 O 0.1897 0.7975 0.2628

What is the ΔH_f (0 K) in the third record?
-2175 meV/atom

Among the records above, which one has the lowest ΔH_f (0 K)?
Sr11Ru10O33

Which of these has the lowest ΔH_f (0 K)?
Sr11Ru10O33

Which value of ΔH_f (0 K) does entry 2 give?
-1076 meV/atom